No. 1
The following is a DFT calculation (PBE) of SrAs2Pd2 after structural relaxation.

E_tot in Ry/atom: -0.371

abc: 4.434 4.434 6.080
angles: 111.39 111.39 90.00
Positions (direct):
Sr 0.000 0.000 0.000
As 0.624 0.624 0.248
As 0.376 0.376 0.752
Pd 0.250 0.750 0.500
Pd 0.750 0.250 0.500


No. 2
The following is a DFT calculation (PBE) of Ti4NiBi2 after structural relaxation.

E_tot in Ry/atom: -0.495

abc: 7.907 7.907 7.907
angles: 95.29 95.29 144.64
Positions (direct):
Bi 0.140 0.360 0.500
Bi 0.640 0.140 0.779
Bi 0.360 0.860 0.221
Bi 0.860 0.640 0.500
Ti 0.303 0.581 0.885
Ti 0.803 0.919 0.722
Ti 0.697 0.419 0.115
Ti 0.581 0.697 0.278
Ti 0.419 0.303 0.722
Ti 0.081 0.803 0.885
Ti 0.919 0.197 0.115
Ti 0.197 0.081 0.278
Ni 0.750 0.750 0.000
Ni 0.250 0.250 0.000


No. 3
The following is a DFT calculation (PBE) of TiWN3 after structural relaxation.

E_tot in Ry/atom: -0.716

abc: 5.383 8.071 9.448
angles: 82.96 120.96 109.22
Positions (direct):
N 0.709 0.357 0.427
N 0.087 0.130 0.424
N 0.843 0.746 0.243
N 0.583 0.000 0.673
N 0.291 0.643 0.573
N 0.417 0.000 0.327
N 0.882 0.540 0.749
N 0.951 0.130 0.060
N 0.049 0.870 0.940
N 0.913 0.870 0.576
N 0.118 0.460 0.251
N 0.157 0.254 0.757
W 0.962 0.543 0.345
W 0.948 0.091 0.857
W 0.052 0.909 0.143
W 0.038 0.457 0.655
Ti 0.760 0.748 0.711
Ti 0.834 0.098 0.515
Ti 0.240 0.252 0.289
Ti 0.166 0.902 0.485


No. 4
The following is a DFT calculation (PBE) of Na2O after structural relaxation.

E_tot in Ry/atom: -0.275

abc: 3.956 3.956 3.956
angles: 60.00 60.00 60.00
Positions (direct):
Na 0.750 0.750 0.750
Na 0.250 0.250 0.250
O 0.000 0.000 0.000


No. 5
The following is a DFT calculation (PBE) of K2NaTiF6 after structural relaxation.

E_tot in Ry/atom: -0.392

abc: 6.018 6.018 6.018
angles: 60.00 60.00 60.00
Positions (direct):
F 0.766 0.234 0.234
F 0.234 0.234 0.766
F 0.234 0.766 0.766
F 0.234 0.766 0.234
F 0.766 0.766 0.234
F 0.766 0.234 0.766
Ti 0.000 0.000 0.000
K 0.250 0.250 0.250
K 0.750 0.750 0.750
Na 0.500 0.500 0.500


No. 6
The following is a DFT calculation (PBE) of TiAuBr after structural relaxation.

E_tot in Ry/atom: -0.282

abc: 4.530 4.530 4.530
angles: 60.00 60.00 60.00
Positions (direct):
Br 0.250 0.250 0.250
Au 0.500 0.500 0.500
Ti 0.000 0.000 0.000


No. 7
The following is a DFT calculation (PBE) of Co2B after structural relaxation.

E_tot in Ry/atom: -0.530

abc: 4.097 4.097 4.097
angles: 105.73 105.73 117.24
Positions (direct):
B 0.250 0.250 0.000
B 0.750 0.750 0.000
Co 0.332 0.832 0.164
Co 0.168 0.332 0.500
Co 0.668 0.168 0.836
Co 0.832 0.668 0.500


No. 8
The following is a DFT calculation (PBE) of Ho2HgO4 after structural relaxation.

E_tot in Ry/atom: -0.503

abc: 7.063 7.063 10.118
angles: 58.57 58.57 29.67
Positions (direct):
Hg 0.386 0.386 0.162
Hg 0.614 0.614 0.838
O 0.268 0.268 0.612
O 0.703 0.703 0.946
O 0.918 0.918 0.653
O 0.535 0.535 0.717
O 0.732 0.732 0.388
O 0.297 0.297 0.054
O 0.465 0.465 0.283
O 0.082 0.082 0.347
Ho 0.659 0.659 0.200
Ho 0.881 0.881 0.463
Ho 0.119 0.119 0.537
Ho 0.341 0.341 0.800


No. 9
The following is a DFT calculation (PBE) of Ca4Zn2Cu3P5 after structural relaxation.

E_tot in Ry/atom: -0.321

abc: 4.044 4.044 37.256
angles: 90.00 90.00 120.00
Positions (direct):
Cu 0.667 0.333 0.644
Cu 0.333 0.667 0.144
Cu 0.667 0.333 0.856
Cu 0.333 0.667 0.356
Cu 0.667 0.333 0.250
Cu 0.333 0.667 0.750
Ca 0.000 0.000 0.409
Ca 0.000 0.000 0.909
Ca 0.000 0.000 0.197
Ca 0.000 0.000 0.303
Ca 0.000 0.000 0.697
Ca 0.000 0.000 0.091
Ca 0.000 0.000 0.591
Ca 0.000 0.000 0.803
P 0.333 0.667 0.644
P 0.333 0.667 0.250
P 0.667 0.333 0.956
P 0.667 0.333 0.356
P 0.333 0.667 0.456
P 0.667 0.333 0.544
P 0.667 0.333 0.750
P 0.667 0.333 0.144
P 0.333 0.667 0.044
P 0.333 0.667 0.856
Zn 0.667 0.333 0.476
Zn 0.333 0.667 0.524
Zn 0.333 0.667 0.976
Zn 0.667 0.333 0.024


No. 10
The following is a DFT calculation (PBE) of Ba4B2N4O after structural relaxation.

E_tot in Ry/atom: -0.490

abc: 8.769 8.769 7.420
angles: 90.00 90.00 130.19
Positions (direct):
Ba 0.807 0.807 0.693
Ba 0.193 0.193 0.307
Ba 0.326 0.674 0.500
Ba 0.307 0.307 0.807
Ba 0.693 0.693 0.193
Ba 0.674 0.326 0.500
Ba 0.174 0.826 0.000
Ba 0.826 0.174 0.000
O 0.500 0.500 0.500
O 0.000 0.000 0.000
B 0.137 0.863 0.500
B 0.863 0.137 0.500
B 0.363 0.637 0.000
B 0.637 0.363 0.000
N 0.505 0.237 0.129
N 0.237 0.505 0.129
N 0.737 0.005 0.371
N 0.005 0.737 0.371
N 0.263 0.995 0.629
N 0.763 0.495 0.871
N 0.495 0.763 0.871
N 0.995 0.263 0.629


No. 11
The following is a DFT calculation (PBE) of KF2 after structural relaxation.

E_tot in Ry/atom: -0.254

abc: 5.052 5.052 5.055
angles: 90.00 90.00 90.00
Positions (direct):
F 0.137 0.863 0.500
F 0.863 0.137 0.500
F 0.363 0.363 0.000
F 0.637 0.637 0.000
K 0.000 0.000 0.000
K 0.500 0.500 0.500


No. 12
The following is a DFT calculation (PBE) of MgTiZnBi2O6 after structural relaxation.

E above lowest polymorph in meV per atom: 160
E_tot in Ry/atom: -0.441

abc: 3.593 3.947 11.588
angles: 90.00 90.00 90.00
Positions (direct):
O 0.000 0.500 0.335
O 0.000 0.500 0.894
O 0.500 0.500 0.046
O 0.500 0.000 0.845
O 0.500 0.500 0.685
O 0.500 0.000 0.196
Bi 0.000 0.000 0.430
Bi 0.000 0.000 0.046
Mg 0.500 0.000 0.669
Ti 0.500 0.500 0.851
Zn 0.500 0.500 0.231


- Look up the E_tot of the fourth one.
  -0.275 Ry/atom


- What is the formula in the ninth record?
  Ca4Zn2Cu3P5


- Which value of E_tot does entry 6 give?
  -0.282 Ry/atom


- Look up the E_tot of the fifth one.
  -0.392 Ry/atom